Record 1
# BaLiAl3P2H2O14

A geometry-optimized BaLiAl3P2H2O14 structure (GGA-PBE, the Materials Project).

```
BaLiAl3P2H2O14
1.0
5.2289 3.3076 -3.6024
-5.2308 3.3076 3.5990
0.2646 -0.0059 7.6287
Ba Li Al P H O
1 1 3 2 2 14
Cartesian
-4.9451 3.2893 11.1538 Ba
-0.2117 3.2739 6.0650 Li
0.1294 6.5845 3.6764 Al
2.7450 1.6576 1.9267 Al
2.7440 4.9124 1.9115 Al
-2.0333 3.2778 8.1450 P
2.3254 3.2756 -0.6585 P
-1.6727 3.2912 3.8171 H
2.0249 3.2929 3.6407 H
-1.5130 3.2767 1.7863 O
1.6606 3.2603 5.7662 O
-3.5773 3.2691 8.3755 O
3.8441 3.2726 -1.0389 O
-1.6421 2.0620 7.1759 O
-1.6486 4.5050 7.1873 O
2.0347 2.0221 0.2424 O
2.0337 4.5385 0.2292 O
-1.7312 3.2861 4.8082 O
2.1295 3.2876 2.6627 O
-0.7987 5.8208 5.1062 O
-0.7957 0.7500 5.0997 O
1.1090 5.8216 2.2906 O
1.1097 0.7485 2.3041 O
```

Values from the calculation:
Raw total energy, eV/atom: -6.611
Magnetic moment, μB/f.u.: 0.0
Energy above the most stable polymorph in this dataset, kcal/mol of atoms: 0.00
Calculated formation energy, eV/atom: -2.60
Space-group type: P1, No. 1

***

Record 2
# BaLiAl3P2H2O14

A geometry-optimized BaLiAl3P2H2O14 structure (GGA-PBE, the Materials Project).

```
BaLiAl3P2H2O14
1.0
1.4895 -4.9249 -5.0898
-3.3133 -1.1424 6.3321
-7.5123 2.4366 0.8677
Ba Li Al P H O
1 1 3 2 2 14
Cartesian
-6.1116 -2.3671 -3.7667 Ba
-3.5443 -1.6804 3.3550 Li
-2.2260 -3.7080 -4.6101 Al
-2.9510 -1.2729 -2.0206 Al
-3.8469 -4.2524 -1.4104 Al
-8.3092 -0.1164 4.0011 P
-0.8266 -3.5487 -1.7773 P
-5.8720 -1.2040 2.2644 H
-4.7966 -2.1409 -0.7315 H
-2.1155 -2.2965 2.4520 O
-6.9860 -1.4024 -0.3408 O
-8.3341 0.2036 5.5275 O
-0.8868 -3.8485 -3.3286 O
-7.1872 0.7510 3.3278 O
-7.8998 -1.6203 3.8133 O
-1.2476 -2.0184 -1.6159 O
-1.9755 -4.4393 -1.1201 O
-5.3792 -1.1794 3.1094 O
-3.8871 -2.4544 -0.9269 O
-6.4798 -3.5454 2.7434 O
-5.0879 1.0857 1.7952 O
-4.1165 -4.7260 0.4356 O
-2.7255 -0.0990 -0.5120 O
```

Values from the calculation:
Raw total energy, eV/atom: -6.608
Magnetic moment, μB/f.u.: 0.0
Energy above the most stable polymorph in this dataset, kcal/mol of atoms: 0.07
Calculated formation energy, eV/atom: -2.59
Space-group type: Cm, No. 8

***

Record 3
# BaLiAl3P2H2O14

A geometry-optimized BaLiAl3P2H2O14 structure (GGA-PBE, the Materials Project).

```
BaLiAl3P2H2O14
1.0
5.3838 3.3593 -3.7100
-5.2602 3.1694 3.7163
0.3243 0.0025 7.9267
Ba Li Al P H O
1 1 3 2 2 14
Cartesian
0.7416 0.5667 7.5416 Ba
-0.5770 4.7973 1.9698 Li
0.1774 0.0906 3.9508 Al
2.9300 1.7665 2.1932 Al
-2.4588 1.6529 5.8150 Al
-2.0347 3.2537 8.4327 P
2.4965 3.3664 -0.4796 P
-1.7108 3.2822 4.2149 H
2.2228 3.4302 3.8120 H
-1.5782 3.2513 1.8084 O
1.9301 3.1968 6.2538 O
-3.5751 3.2487 8.7306 O
4.0427 3.2561 -0.8472 O
-1.7150 2.0094 7.5427 O
-1.6856 4.5370 7.6063 O
2.2478 2.1755 0.5206 O
2.2510 4.6781 0.3438 O
-1.7402 3.2804 5.1910 O
2.2173 3.4030 2.8311 O
-0.6086 5.8097 5.4626 O
-0.7951 0.8169 5.3534 O
1.2180 5.8309 2.4803 O
1.1005 0.8493 2.4910 O
```

Values from the calculation:
Raw total energy, eV/atom: -6.596
Magnetic moment, μB/f.u.: 0.0
Energy above the most stable polymorph in this dataset, kcal/mol of atoms: 0.34
Calculated formation energy, eV/atom: -2.58
Space-group type: P1, No. 1

***

Record 4
# BaMgAl3P2H2O14

A geometry-optimized BaMgAl3P2H2O14 structure (GGA-PBE, the Materials Project).

```
BaMgAl3P2H2O14
1.0
4.9133 3.4756 -3.3301
-4.9133 3.4757 3.3301
0.9226 0.0000 8.0753
Ba Mg Al P H O
1 1 3 2 2 14
Cartesian
-4.5509 3.4756 3.8309 Ba
2.9691 3.4756 0.7887 Mg
-4.1384 3.4757 7.9860 Al
-1.5524 5.0600 6.2180 Al
-1.5524 1.8913 6.2180 Al
-1.1771 3.4757 8.7732 P
2.5177 3.4756 6.8814 P
-0.6054 3.4757 4.6698 H
2.0734 3.4756 3.9419 H
-1.2868 3.4757 1.9378 O
1.6893 3.4756 5.6373 O
-2.7467 3.4757 9.0877 O
3.1617 3.4756 -1.3275 O
-0.9155 2.2077 7.8452 O
-0.9155 4.7437 7.8452 O
1.4215 2.2918 -0.1570 O
1.4215 4.6595 -0.1570 O
-1.3622 3.4756 5.2816 O
2.6069 3.4756 3.0872 O
-0.5153 5.7474 4.9433 O
-0.5153 1.2039 4.9433 O
-3.3623 2.6947 6.4226 O
-3.3623 4.2565 6.4226 O
```

Values from the calculation:
Raw total energy, eV/atom: -6.558
Magnetic moment, μB/f.u.: 0.6
Energy above the most stable polymorph in this dataset, kcal/mol of atoms: 3.27
Calculated formation energy, eV/atom: -2.56
Space-group type: Cm, No. 8

***

Record 5
# BaMgAl3P2H2O14

A geometry-optimized BaMgAl3P2H2O14 structure (GGA-PBE, the Materials Project).

```
BaMgAl3P2H2O14
1.0
5.1181 3.4958 -3.4617
-5.1154 3.4938 3.4619
0.0590 0.0001 7.0298
Ba Mg Al P H O
1 1 3 2 2 14
Cartesian
0.0052 0.0098 0.0072 Ba
0.0323 2.8189 3.5248 Mg
0.0411 6.9305 3.5208 Al
2.5721 1.7441 1.8263 Al
-2.4969 1.7413 5.2176 Al
-1.9852 3.4681 7.8082 P
2.0625 3.4686 -0.7652 P
-2.1041 3.6033 3.5061 H
2.1690 3.5989 3.5384 H
-1.1865 3.4522 2.0457 O
1.2619 3.4527 4.9979 O
-3.4974 3.4526 8.1967 O
3.5737 3.4540 -1.1544 O
-1.6916 2.2303 6.9081 O
-1.7134 4.7451 6.9564 O
1.7693 2.2311 0.1352 O
1.7917 4.7456 0.0865 O
-2.1319 3.5214 4.4997 O
2.2107 3.5215 2.5444 O
-0.8530 5.8453 4.7045 O
-0.8053 1.2190 4.5984 O
0.9316 5.8454 2.3358 O
0.8797 1.2215 2.4438 O
```

Values from the calculation:
Raw total energy, eV/atom: -6.663
Magnetic moment, μB/f.u.: 3.0
Energy above the most stable polymorph in this dataset, kcal/mol of atoms: 0.85
Calculated formation energy, eV/atom: -2.66
Space-group type: C2, No. 5

***

Record 6
# BaMgAl3P2H2O14

A geometry-optimized BaMgAl3P2H2O14 structure (GGA-PBE, the Materials Project).

```
BaMgAl3P2H2O14
1.0
1.5583 -0.6427 -7.1050
0.4880 -5.4145 4.5220
-6.2552 -3.0492 2.1920
Ba Mg Al P H O
1 1 3 2 2 14
Cartesian
0.2336 -0.5655 -0.6260 Ba
0.4326 -5.2920 -0.7542 Mg
-3.0613 -1.5868 0.8800 Al
-2.4354 -1.9639 -2.5372 Al
-1.2721 -4.9133 -3.6389 Al
-4.7055 -6.7259 3.1847 P
0.5541 -2.4010 -3.6488 P
-1.3645 -4.9435 1.5903 H
-2.9911 -4.2885 -1.8881 H
0.0800 -4.0442 0.6981 O
-4.3623 -4.9607 -0.9779 O
-4.2553 -7.2495 4.5586 O
0.2369 -1.8929 -5.1374 O
-4.4709 -5.2086 3.1048 O
-3.9188 -7.4645 2.0130 O
-0.5816 -1.7297 -2.7945 O
0.3666 -3.9442 -3.5275 O
-2.0626 -5.4257 2.0889 O
-2.2850 -3.8236 -2.4236 O
-2.0434 -7.6994 -0.0305 O
-3.4424 -2.9642 2.0856 O
-0.7079 -5.9317 -2.1999 O
-2.1568 -1.9820 -0.6555 O
```

Values from the calculation:
Raw total energy, eV/atom: -6.657
Magnetic moment, μB/f.u.: 1.0
Energy above the most stable polymorph in this dataset, kcal/mol of atoms: 0.99
Calculated formation energy, eV/atom: -2.66
Space-group type: P1, No. 1

***

Record 7
# BaMgAl3P2H2O14

A geometry-optimized BaMgAl3P2H2O14 structure (GGA-PBE, the Materials Project).

```
BaMgAl3P2H2O14
1.0
-6.8771 -1.9613 0.9399
5.5586 -4.5106 0.8841
4.0637 0.8432 5.9294
Ba Mg Al P H O
1 1 3 2 2 14
Cartesian
5.4217 -4.4747 0.9127 Ba
0.4324 -2.8805 2.9624 Mg
7.2485 -4.0881 3.6050 Al
-1.2978 -0.5896 3.3559 Al
-1.9621 -3.8502 4.2749 Al
5.5537 -3.0593 6.0301 P
-3.0451 -2.5792 1.5176 P
3.1392 -3.5078 2.6932 H
-0.3380 -2.1315 5.0629 H
1.6366 -3.5168 1.5751 O
1.0346 -2.1495 5.9913 O
6.9279 -3.5057 5.4396 O
-4.4638 -2.1589 1.9835 O
5.0114 -1.8500 5.2073 O
4.5277 -4.2242 5.8765 O
-2.0345 -1.4000 1.7938 O
-2.5097 -3.7324 2.4512 O
3.7941 -3.4337 3.4298 O
-1.0006 -2.2144 4.2899 O
2.2638 -5.5641 4.9674 O
3.3091 -0.4335 3.5214 O
-0.3732 -4.6210 3.7495 O
0.3998 -0.8269 2.6802 O
```

Values from the calculation:
Raw total energy, eV/atom: -6.700
Magnetic moment, μB/f.u.: 1.0
Energy above the most stable polymorph in this dataset, kcal/mol of atoms: 0.00
Calculated formation energy, eV/atom: -2.70
Space-group type: Cm, No. 8

***

Record 8
# BaMgAl3P2H2O14

A geometry-optimized BaMgAl3P2H2O14 structure (GGA-PBE, the Materials Project).

```
BaMgAl3P2H2O14
1.0
5.3029 3.3228 -3.6166
-5.3047 3.3260 3.6158
0.2463 -0.0009 7.6456
Ba Mg Al P H O
1 1 3 2 2 14
Cartesian
4.9369 3.3251 4.2436 Ba
-2.7371 3.3210 3.0415 Mg
5.3294 3.3217 0.3864 Al
2.7515 1.7010 1.9729 Al
2.7492 4.9422 1.9721 Al
-2.1255 3.3241 8.1472 P
2.3279 3.3212 -0.7063 P
-1.0030 3.3233 4.9379 H
1.8578 3.3212 3.5832 H
-1.3933 3.3229 1.6806 O
1.8749 3.3202 5.6159 O
-3.5808 3.3243 8.7685 O
3.8761 3.3219 -0.8793 O
-1.9070 2.0642 7.2930 O
-1.9050 4.5841 7.2938 O
1.9891 2.0052 0.1664 O
1.9884 4.6376 0.1656 O
-1.9812 3.3233 4.8745 O
2.1058 3.3212 2.6284 O
-0.8281 5.5407 5.1531 O
-0.8275 1.1061 5.1535 O
1.0534 5.8780 2.4787 O
1.0565 0.7653 2.4811 O
```

Values from the calculation:
Raw total energy, eV/atom: -6.627
Magnetic moment, μB/f.u.: 0.0
Energy above the most stable polymorph in this dataset, kcal/mol of atoms: 1.69
Calculated formation energy, eV/atom: -2.63
Space-group type: P1, No. 1

***

Record 9
# Ba3AlHO4

A geometry-optimized Ba3AlHO4 structure (GGA-PBE, the Materials Project).

```
Ba3AlHO4
1.0
7.3400 0.0000 0.0000
0.0000 8.2727 0.0000
0.0000 0.0000 10.6266
Ba Al H O
12 4 4 16
Cartesian
2.9288 0.2139 8.8674 Ba
0.7412 3.9225 3.5541 Ba
4.4112 4.3502 1.7592 Ba
6.5987 8.0588 7.0726 Ba
4.4112 8.0588 1.7592 Ba
6.5987 4.3502 7.0726 Ba
2.9288 3.9225 8.8674 Ba
0.7412 0.2139 3.5541 Ba
6.6189 2.0682 10.2368 Ba
4.3911 2.0682 4.9235 Ba
0.7211 6.2045 0.3898 Ba
2.9489 6.2045 5.7031 Ba
1.3891 2.0682 6.4142 Al
2.2808 2.0682 1.1009 Al
5.9508 6.2045 4.2124 Al
5.0591 6.2045 9.5257 Al
4.8500 2.0682 7.7655 H
6.1599 2.0682 2.4522 H
2.4899 6.2045 2.8611 H
1.1801 6.2045 8.1744 H
2.2450 0.5473 6.0830 O
1.4249 3.5891 0.7696 O
5.0949 4.6836 4.5437 O
5.9150 7.7254 9.8570 O
5.0949 7.7254 4.5437 O
5.9150 4.6836 9.8570 O
2.2450 3.5891 6.0830 O
1.4249 0.5473 0.7696 O
7.2178 2.0682 5.4408 O
3.7922 2.0682 0.1275 O
0.1222 6.2045 5.1858 O
3.5478 6.2045 10.4991 O
0.9480 2.0682 8.1558 O
2.7219 2.0682 2.8425 O
6.3919 6.2045 2.4708 O
4.6180 6.2045 7.7841 O
```

Values from the calculation:
Raw total energy, eV/atom: -6.067
Magnetic moment, μB/f.u.: 0.0
Calculated formation energy, eV/atom: -2.74
Space-group type: Pnma, No. 62

***

Record 10
# Ba2Ho2Al3Si5N11O3

A geometry-optimized Ba2Ho2Al3Si5N11O3 structure (GGA-PBE, the Materials Project).

```
Ba2Ho2Al3Si5N11O3
1.0
3.1683 -5.4876 0.0000
3.1683 5.4876 0.0000
0.0000 0.0000 10.7299
Ba Ho Al Si N O
2 2 3 5 11 3
Cartesian
3.1683 1.8292 1.3786 Ba
3.1683 -1.8292 6.9934 Ba
3.1683 1.8292 6.7403 Ho
3.1683 -1.8292 3.7604 Ho
3.1683 3.7281 4.6582 Al
1.5237 0.8797 4.6582 Al
4.8128 0.8797 4.6582 Al
0.0000 0.0000 7.6454 Si
0.0000 0.0000 2.3147 Si
1.6238 -0.9375 9.9898 Si
4.7128 -0.9375 9.9898 Si
3.1683 -3.6126 9.9898 Si
3.1683 3.8834 2.8476 N
1.3893 0.8021 2.8476 N
0.0000 0.0000 5.7613 N
0.0000 0.0000 0.2036 N
1.3485 -0.7786 8.3736 N
3.1683 0.1313 5.2318 N
4.9473 0.8021 2.8476 N
4.6387 2.6781 5.2318 N
4.9880 -0.7786 8.3736 N
1.6979 2.6781 5.2318 N
3.1683 -3.9305 8.3736 N
4.4654 -2.5781 10.4518 O
1.8712 -2.5781 10.4518 O
3.1683 -0.3314 10.4518 O
```

Values from the calculation:
Raw total energy, eV/atom: -7.204
Magnetic moment, μB/f.u.: 0.0
Calculated formation energy, eV/atom: -1.21
Space-group type: P3m1, No. 156

***

Record 11
# Ba6Ho2Al2Rh2O15

A geometry-optimized Ba6Ho2Al2Rh2O15 structure (GGA-PBE, the Materials Project).

```
Ba6Ho2Al2Rh2O15
1.0
-0.2388 4.6544 3.6817
-4.4906 -3.8845 -0.1426
6.6346 -8.0596 10.6192
Ba Ho Al Rh O
6 2 2 2 15
Cartesian
-1.8320 -2.5836 3.1271 Ba
2.2967 -7.5991 9.7356 Ba
-4.4701 -3.8433 -0.1242 Ba
2.6357 -3.3783 9.2704 Ba
0.7037 -1.0312 6.1779 Ba
3.0516 0.5705 8.9671 Ba
1.3883 2.6221 6.2980 Ho
4.7342 -1.4424 11.6534 Ho
-0.9317 0.8124 3.5915 Al
4.1824 -5.4001 11.7770 Al
0.7763 -5.8133 7.3153 Rh
-0.3496 -4.4456 5.5132 Rh
-2.1010 0.0258 4.6564 O
-0.0280 2.0364 4.5329 O
0.2163 -0.3514 2.9223 O
2.4212 -5.4677 11.8947 O
4.7194 -3.7306 12.1315 O
4.7385 -5.8450 10.1606 O
-1.5720 -5.1002 4.0220 O
-1.6096 -2.9051 5.8878 O
0.6484 -3.2727 4.1981 O
0.6711 -7.8251 7.6123 O
0.5214 -5.4939 9.2988 O
2.7794 -5.8615 7.6091 O
-1.8632 1.3920 2.2206 O
0.9738 -6.0408 5.2475 O
-1.2725 -5.6751 6.9285 O
```

Values from the calculation:
Raw total energy, eV/atom: -6.894
Magnetic moment, μB/f.u.: 2.0
Calculated formation energy, eV/atom: -2.94
Space-group type: Amm2, No. 38

***

Record 12
# Ba5Ho2ZrAl2O13

A geometry-optimized Ba5Ho2ZrAl2O13 structure (GGA-PBE, the Materials Project).

```
Ba5Ho2ZrAl2O13
1.0
-1.6275 5.7685 0.6887
0.6873 -2.3003 -5.5349
-24.2492 -6.8204 -0.1767
Ba Ho Zr Al O
10 4 2 4 26
Cartesian
-13.2389 -3.3106 -3.5563 Ba
-11.9504 -0.0415 -1.4667 Ba
-1.8860 2.7892 -1.3934 Ba
-23.3034 -6.1413 -3.6296 Ba
-3.3541 -0.9434 -0.0244 Ba
-20.8950 -5.8770 -0.1523 Ba
-15.4787 -4.3536 -0.1128 Ba
-8.7704 -2.4668 -0.0639 Ba
-6.1466 -1.3158 -3.5046 Ba
-19.0428 -2.0363 -1.5184 Ba
-2.5992 -0.3180 -3.4787 Ho
-22.5901 -3.0341 -1.5443 Ho
-15.4954 -1.0386 -1.4926 Ho
-9.6939 -2.3135 -3.5304 Ho
0.0000 0.0000 0.0000 Zr
-12.1246 -3.4102 -0.0884 Zr
-16.6024 -4.2566 -3.5808 Al
-8.5869 0.9045 -1.4422 Al
-5.2495 1.8432 -1.4179 Al
-19.9399 -5.1953 -3.6051 Al
-4.6567 1.8102 0.2598 O
-20.5327 -5.1623 -5.2828 O
-5.1114 3.4876 -2.0842 O
-16.0912 -3.9130 -5.2504 O
-20.0780 -6.8397 -2.9389 O
-9.0982 0.5609 0.2274 O
-4.3242 0.6976 -2.4172 O
-15.6364 -5.5905 -2.9065 O
-20.8651 -4.0497 -2.6058 O
-9.5529 2.2384 -2.1165 O
-16.4236 -2.8005 -2.5734 O
-8.7657 -0.5516 -2.4496 O
-1.2711 -0.1565 -1.6928 O
-23.9182 -3.1956 -3.3303 O
-1.7538 1.6241 -4.1809 O
-14.2539 -0.4774 -3.2598 O
-23.4355 -4.9762 -0.8421 O
-10.9355 -2.8748 -1.7632 O
-0.9183 -1.3375 -4.5345 O
-13.7712 -2.2580 -0.7717 O
-24.2711 -2.0146 -0.4886 O
-11.4182 -1.0941 -4.2513 O
-14.6068 0.7036 -0.4181 O
-10.5826 -4.0557 -4.6049 O
-18.2712 -4.7260 -3.5930 O
-6.9182 1.3738 -1.4301 O
```

Values from the calculation:
Raw total energy, eV/atom: -7.407
Magnetic moment, μB/f.u.: 0.0
Calculated formation energy, eV/atom: -3.49
Space-group type: P6_3/mmc, No. 194

***

> Number 4 is which compound?

BaMgAl3P2H2O14

***

> Among the records above, which one has the highest magnetic moment?

number 5

***

> Look up the magnetic moment of the fifth one.

3.0 μB/f.u.